[1]
# GdB2HO5

An optimized crystal structure of GdB2HO5 (PBE-GGA, Materials Project).

## Properties
polymorph energy (0 for the lowest one)	1.15	eV/f.u.

abc: 5.921 6.513 12.272
angles: 90.00 114.38 90.00
Element x y z (fractional)
Gd (0.000, 0.100, 0.000)
Gd (0.000, 0.900, 0.500)
Gd (0.621, 0.388, 0.157)
Gd (0.621, 0.612, 0.657)
B (0.058, 0.410, 0.469)
B (0.058, 0.590, 0.969)
B (0.077, 0.181, 0.309)
B (0.077, 0.819, 0.809)
B (0.528, 0.371, 0.865)
B (0.528, 0.629, 0.365)
B (0.647, 0.122, 0.695)
B (0.647, 0.878, 0.195)
H (0.425, 0.023, 0.526)
H (0.425, 0.977, 0.026)
H (0.912, 0.291, 0.591)
H (0.912, 0.709, 0.091)
O (0.186, 0.417, 0.016)
O (0.186, 0.583, 0.516)
O (0.218, 0.051, 0.395)
O (0.218, 0.949, 0.895)
O (0.421, 0.465, 0.767)
O (0.421, 0.535, 0.267)
O (0.477, 0.025, 0.112)
O (0.477, 0.975, 0.612)
O (0.645, 0.322, 0.975)
O (0.645, 0.678, 0.475)
O (0.711, 0.287, 0.644)
O (0.711, 0.713, 0.144)
O (0.715, 0.088, 0.812)
O (0.715, 0.912, 0.312)
O (0.981, 0.364, 0.346)
O (0.981, 0.636, 0.846)
O (0.984, 0.171, 0.187)
O (0.984, 0.829, 0.687)
O (0.990, 0.261, 0.532)
O (0.990, 0.739, 0.032)

[2]
# CoAsS

An optimized crystal structure of CoAsS (PBE-GGA, Materials Project).

## Properties
piezoelectric modulus e_max	0.1	C/m²
polymorph energy (0 for the lowest one)	0.01	eV/f.u.

abc: 5.584 5.584 5.584
angles: 90.00 90.00 90.00
Element x y z (fractional)
Co (0.008, 0.008, 0.008)
Co (0.492, 0.992, 0.508)
Co (0.508, 0.492, 0.992)
Co (0.992, 0.508, 0.492)
As (0.121, 0.621, 0.879)
As (0.379, 0.379, 0.379)
As (0.621, 0.879, 0.121)
As (0.879, 0.121, 0.621)
S (0.119, 0.881, 0.381)
S (0.381, 0.119, 0.881)
S (0.619, 0.619, 0.619)
S (0.881, 0.381, 0.119)

[3]
# Sb2O5

An optimized crystal structure of Sb2O5 (PBE-GGA, Materials Project).

## Properties
polymorph energy (0 for the lowest one)	0.55	eV/f.u.

abc: 8.577 5.109 10.282
angles: 90.00 115.82 90.00
Element x y z (fractional)
Sb (0.149, 0.001, 0.171)
Sb (0.149, 0.499, 0.671)
Sb (0.309, 0.027, 0.943)
Sb (0.309, 0.473, 0.443)
Sb (0.691, 0.527, 0.557)
Sb (0.691, 0.973, 0.057)
Sb (0.851, 0.501, 0.329)
Sb (0.851, 0.999, 0.829)
O (0.090, 0.649, 0.458)
O (0.090, 0.851, 0.958)
O (0.138, 0.197, 0.330)
O (0.138, 0.303, 0.830)
O (0.235, 0.664, 0.252)
O (0.235, 0.836, 0.752)
O (0.317, 0.183, 0.127)
O (0.317, 0.317, 0.627)
O (0.492, 0.730, 0.555)
O (0.492, 0.770, 0.055)
O (0.508, 0.230, 0.945)
O (0.508, 0.270, 0.445)
O (0.683, 0.683, 0.373)
O (0.683, 0.817, 0.873)
O (0.765, 0.164, 0.248)
O (0.765, 0.336, 0.748)
O (0.862, 0.697, 0.170)
O (0.862, 0.803, 0.670)
O (0.910, 0.149, 0.042)
O (0.910, 0.351, 0.542)

[4]
# SnSe

An optimized crystal structure of SnSe (PBE-GGA, Materials Project).

## Properties
total energy	-8.34	eV/f.u.

abc: 4.289 12.012 4.301
angles: 90.00 90.00 90.00
Element x y z (fractional)
Sn (0.000, 0.127, 0.250)
Sn (0.000, 0.873, 0.750)
Sn (0.500, 0.373, 0.750)
Sn (0.500, 0.627, 0.250)
Se (0.000, 0.355, 0.250)
Se (0.000, 0.645, 0.750)
Se (0.500, 0.145, 0.750)
Se (0.500, 0.855, 0.250)